This record from Materials Project describes CeMg3 after structural relaxation. The functional is PBE.

```
CeMg3
1.0
4.7794 0.0000 0.0000
0.0000 4.7794 0.0000
0.0000 0.0000 4.7794
Ce Mg
1 3
Direct
0.0000 0.0000 0.0000
0.5000 0.5000 0.0000
0.5000 0.0000 0.5000
0.0000 0.5000 0.5000
```

Results
Final energy ... -10.48 eV for the cell shown
DFT formation energy ... 0.06 eV per atom


This record from Materials Project describes CsNa3PbO4 after structural relaxation. The functional is PBE.

```
CsNa3PbO4
1.0
6.8652 0.0000 0.0000
1.6245 8.6998 0.0000
2.7959 1.0246 11.4204
Cs Na Pb O
4 12 4 16
Direct
0.9928 0.6175 0.1200
0.0072 0.3825 0.8800
0.9577 0.8581 0.3744
0.0423 0.1419 0.6256
0.4293 0.0429 0.3761
0.5707 0.9571 0.6239
0.8150 0.0522 0.1058
0.1850 0.9478 0.8942
0.5402 0.4301 0.1259
0.4598 0.5699 0.8741
0.1873 0.4434 0.3973
0.8127 0.5566 0.6027
0.1953 0.1778 0.1462
0.8047 0.8222 0.8538
0.5194 0.6735 0.3863
0.4806 0.3265 0.6137
0.8258 0.2920 0.3521
0.1742 0.7080 0.6479
0.4387 0.7955 0.1319
0.5613 0.2045 0.8681
0.1352 0.2004 0.3516
0.8648 0.7996 0.6484
0.3815 0.3325 0.0049
0.6185 0.6675 0.9951
0.3379 0.6121 0.2555
0.6621 0.3879 0.7445
0.8113 0.5095 0.4117
0.1887 0.4905 0.5883
0.1763 0.9368 0.0941
0.8237 0.0632 0.9059
0.8311 0.2877 0.1733
0.1689 0.7123 0.8267
0.6068 0.8881 0.2261
0.3932 0.1119 0.7739
0.6257 0.1592 0.4669
0.3743 0.8408 0.5331
```

Results
Final energy ... -160.05 eV for the cell shown
DFT formation energy ... -1.60 eV per atom


This record from Materials Project describes PbF3 after structural relaxation. The functional is PBE.

```
PbF3
1.0
-4.2683 -2.9541 1.3806
0.7165 -3.0683 -4.3501
5.4734 -5.6309 4.8732
Pb F
4 12
Direct
0.5000 0.5000 0.2500
0.5000 0.5000 0.7500
0.0000 0.0000 0.5000
0.0000 0.0000 0.0000
0.2049 0.7951 0.3458
0.7951 0.2049 0.3458
0.7951 0.7951 0.1542
0.2049 0.2049 0.1542
0.2799 0.7201 0.0000
0.7201 0.7201 0.5000
0.2799 0.2799 0.5000
0.7201 0.2799 0.0000
0.2049 0.2049 0.8458
0.2049 0.7951 0.6542
0.7951 0.2049 0.6542
0.7951 0.7951 0.8458
```

Results
Final energy ... -71.36 eV for the cell shown
DFT formation energy ... -2.44 eV per atom


Please write out number 3 again, unchanged.
This record from Materials Project describes PbF3 after structural relaxation. The functional is PBE.

```
PbF3
1.0
-4.2683 -2.9541 1.3806
0.7165 -3.0683 -4.3501
5.4734 -5.6309 4.8732
Pb F
4 12
Direct
0.5000 0.5000 0.2500
0.5000 0.5000 0.7500
0.0000 0.0000 0.5000
0.0000 0.0000 0.0000
0.2049 0.7951 0.3458
0.7951 0.2049 0.3458
0.7951 0.7951 0.1542
0.2049 0.2049 0.1542
0.2799 0.7201 0.0000
0.7201 0.7201 0.5000
0.2799 0.2799 0.5000
0.7201 0.2799 0.0000
0.2049 0.2049 0.8458
0.2049 0.7951 0.6542
0.7951 0.2049 0.6542
0.7951 0.7951 0.8458
```

Results
Final energy ... -71.36 eV for the cell shown
DFT formation energy ... -2.44 eV per atom


- Look up the final energy of the first one.
  -10.48 eV for the cell shown